Entry 1:
# SiO2 (PBE, relaxed)
# SG   No. 139
# Formation enthalpy at 0 K   -942 kJ/mol of formula units
data_SiO2
_chemical_formula_sum 'Si16 O32'
_cell_length_a 11.164
_cell_length_b 11.164
_cell_length_c 11.164
_cell_angle_alpha 101.64
_cell_angle_beta 101.64
_cell_angle_gamma 126.62
_symmetry_space_group_name_H-M 'P 1'
_symmetry_Int_Tables_number 1
loop_
_symmetry_equiv_pos_as_xyz
'x,y,z'
loop_
_atom_site_label
_atom_site_type_symbol
_atom_site_fract_x
_atom_site_fract_y
_atom_site_fract_z
O1 O 0.123 0.299 0.422
O2 O 0.812 0.057 0.245
O3 O 0.299 0.877 0.176
O4 O 0.986 0.986 0.343
O5 O 0.123 0.701 0.824
O6 O 0.014 0.014 0.657
O7 O 0.897 0.103 0.500
O8 O 0.986 0.644 0.000
O9 O 0.299 0.123 0.422
O10 O 0.603 0.103 0.206
O11 O 0.897 0.397 0.794
O12 O 0.103 0.603 0.206
O13 O 0.057 0.812 0.245
O14 O 0.877 0.299 0.176
O15 O 0.644 0.986 0.000
O16 O 0.877 0.701 0.578
O17 O 0.356 0.014 0.000
O18 O 0.356 0.356 0.343
O19 O 0.397 0.603 0.500
O20 O 0.188 0.943 0.755
O21 O 0.567 0.812 0.755
O22 O 0.812 0.567 0.755
O23 O 0.603 0.397 0.500
O24 O 0.014 0.356 0.000
O25 O 0.943 0.188 0.755
O26 O 0.644 0.644 0.657
O27 O 0.188 0.433 0.245
O28 O 0.701 0.877 0.578
O29 O 0.433 0.188 0.245
O30 O 0.701 0.123 0.824
O31 O 0.103 0.897 0.500
O32 O 0.397 0.897 0.794
Si1 Si 0.266 0.888 0.843
Si2 Si 0.888 0.266 0.843
Si3 Si 0.955 0.112 0.378
Si4 Si 0.045 0.422 0.157
Si5 Si 0.955 0.578 0.843
Si6 Si 0.112 0.955 0.378
Si7 Si 0.578 0.955 0.843
Si8 Si 0.734 0.112 0.157
Si9 Si 0.045 0.888 0.622
Si10 Si 0.422 0.266 0.378
Si11 Si 0.422 0.045 0.157
Si12 Si 0.112 0.734 0.157
Si13 Si 0.888 0.045 0.622
Si14 Si 0.578 0.734 0.622
Si15 Si 0.266 0.422 0.378
Si16 Si 0.734 0.578 0.622



Entry 2:
# Ca3CuRhO6 (PBE, relaxed)
# SG   No. 15
# Formation enthalpy at 0 K   -2445 kJ/mol of formula units
# Total magnetic moment   0.00 μB per formula unit
data_Ca3CuRhO6
_chemical_formula_sum 'Ca6 Cu2 Rh2 O12'
_cell_length_a 6.532
_cell_length_b 6.532
_cell_length_c 6.464
_cell_angle_alpha 89.75
_cell_angle_beta 89.75
_cell_angle_gamma 91.51
_symmetry_space_group_name_H-M 'P 1'
_symmetry_Int_Tables_number 1
loop_
_symmetry_equiv_pos_as_xyz
'x,y,z'
loop_
_atom_site_label
_atom_site_type_symbol
_atom_site_fract_x
_atom_site_fract_y
_atom_site_fract_z
O1 O 0.527 0.894 0.795
O2 O 0.209 0.080 0.566
O3 O 0.920 0.791 0.934
O4 O 0.707 0.393 0.958
O5 O 0.293 0.607 0.042
O6 O 0.791 0.920 0.434
O7 O 0.894 0.527 0.295
O8 O 0.106 0.473 0.705
O9 O 0.607 0.293 0.542
O10 O 0.473 0.106 0.205
O11 O 0.393 0.707 0.458
O12 O 0.080 0.209 0.066
Rh1 Rh 0.500 0.000 0.500
Rh2 Rh 0.000 0.500 0.000
Ca1 Ca 0.764 0.614 0.624
Ca2 Ca 0.386 0.236 0.876
Ca3 Ca 0.614 0.764 0.124
Ca4 Ca 0.236 0.386 0.376
Ca5 Ca 0.902 0.098 0.750
Ca6 Ca 0.098 0.902 0.250
Cu1 Cu 0.310 0.690 0.750
Cu2 Cu 0.690 0.310 0.250



Entry 3:
# Cu3Ag5P4O16 (PBE, relaxed)
# SG   No. 15
# Formation enthalpy at 0 K   -4470 kJ/mol of formula units
# Total magnetic moment   0.00 μB per formula unit
data_Cu3Ag5P4O16
_chemical_formula_sum 'Cu6 Ag10 P8 O32'
_cell_length_a 9.301
_cell_length_b 9.301
_cell_length_c 17.005
_cell_angle_alpha 66.12
_cell_angle_beta 66.12
_cell_angle_gamma 32.24
_symmetry_space_group_name_H-M 'P 1'
_symmetry_Int_Tables_number 1
loop_
_symmetry_equiv_pos_as_xyz
'x,y,z'
loop_
_atom_site_label
_atom_site_type_symbol
_atom_site_fract_x
_atom_site_fract_y
_atom_site_fract_z
P1 P 0.951 0.484 0.621
P2 P 0.181 0.804 0.602
P3 P 0.484 0.951 0.121
P4 P 0.819 0.196 0.398
P5 P 0.804 0.181 0.102
P6 P 0.516 0.049 0.879
P7 P 0.049 0.516 0.379
P8 P 0.196 0.819 0.898
O1 O 0.781 0.373 0.044
O2 O 0.360 0.801 0.923
O3 O 0.114 0.877 0.095
O4 O 0.373 0.781 0.544
O5 O 0.219 0.627 0.956
O6 O 0.361 0.200 0.050
O7 O 0.123 0.886 0.405
O8 O 0.800 0.639 0.450
O9 O 0.228 0.693 0.698
O10 O 0.587 0.988 0.788
O11 O 0.627 0.219 0.456
O12 O 0.901 0.360 0.623
O13 O 0.012 0.413 0.712
O14 O 0.801 0.698 0.098
O15 O 0.772 0.307 0.302
O16 O 0.886 0.123 0.905
O17 O 0.302 0.199 0.402
O18 O 0.099 0.640 0.377
O19 O 0.698 0.801 0.598
O20 O 0.801 0.360 0.423
O21 O 0.307 0.772 0.802
O22 O 0.640 0.099 0.877
O23 O 0.693 0.228 0.198
O24 O 0.200 0.361 0.550
O25 O 0.988 0.587 0.288
O26 O 0.199 0.302 0.902
O27 O 0.877 0.114 0.595
O28 O 0.360 0.901 0.123
O29 O 0.640 0.199 0.077
O30 O 0.639 0.800 0.950
O31 O 0.199 0.640 0.577
O32 O 0.413 0.012 0.212
Ag1 Ag 0.921 0.431 0.250
Ag2 Ag 0.855 0.415 0.878
Ag3 Ag 0.569 0.079 0.250
Ag4 Ag 0.415 0.855 0.378
Ag5 Ag 0.727 0.273 0.750
Ag6 Ag 0.585 0.145 0.622
Ag7 Ag 0.079 0.569 0.750
Ag8 Ag 0.273 0.727 0.250
Ag9 Ag 0.145 0.585 0.122
Ag10 Ag 0.431 0.921 0.750
Cu1 Cu 0.622 0.175 0.975
Cu2 Cu 0.378 0.825 0.025
Cu3 Cu 0.000 0.500 0.000
Cu4 Cu 0.175 0.622 0.475
Cu5 Cu 0.825 0.378 0.525
Cu6 Cu 0.500 0.000 0.500



Entry 4:
# LiBiP2O8 (PBE, relaxed)
# SG   No. 1
# Relative energy among the computed polymorphs   0.00 eV/f.u.
# Formation enthalpy at 0 K   -2565 kJ/mol of formula units
# Total magnetic moment   0.00 μB per formula unit
data_LiBiP2O8
_chemical_formula_sum 'Li3 Bi3 P6 O24'
_cell_length_a 8.769
_cell_length_b 8.772
_cell_length_c 7.656
_cell_angle_alpha 89.94
_cell_angle_beta 89.83
_cell_angle_gamma 59.99
_symmetry_space_group_name_H-M 'P 1'
_symmetry_Int_Tables_number 1
loop_
_symmetry_equiv_pos_as_xyz
'x,y,z'
loop_
_atom_site_label
_atom_site_type_symbol
_atom_site_fract_x
_atom_site_fract_y
_atom_site_fract_z
O1 O 0.120 0.397 0.749
O2 O 0.850 0.433 0.604
O3 O 0.141 0.568 0.066
O4 O 0.879 0.607 0.256
O5 O 0.189 0.967 0.222
O6 O 0.283 0.151 0.403
O7 O 0.485 0.118 0.749
O8 O 0.606 0.514 0.256
O9 O 0.434 0.717 0.603
O10 O 0.967 0.843 0.223
O11 O 0.842 0.190 0.222
O12 O 0.151 0.564 0.403
O13 O 0.431 0.711 0.940
O14 O 0.513 0.880 0.255
O15 O 0.292 0.141 0.066
O16 O 0.563 0.285 0.402
O17 O 0.044 0.155 0.788
O18 O 0.803 0.042 0.786
O19 O 0.398 0.484 0.749
O20 O 0.712 0.859 0.940
O21 O 0.860 0.430 0.941
O22 O 0.568 0.292 0.065
O23 O 0.718 0.849 0.603
O24 O 0.156 0.801 0.788
Li1 Li 0.997 0.002 0.398
Li2 Li 0.668 0.665 0.506
Li3 Li 0.332 0.333 0.501
P1 P 0.639 0.320 0.243
P2 P 0.319 0.040 0.243
P3 P 0.680 0.961 0.763
P4 P 0.962 0.359 0.764
P5 P 0.360 0.680 0.764
P6 P 0.040 0.640 0.243
Bi1 Bi 0.334 0.333 0.931
Bi2 Bi 0.000 0.000 0.991
Bi3 Bi 0.667 0.667 0.074



- Look up the formation enthalpy at 0 K of the fourth one.
  -2565 kJ/mol of formula units



- Which of these has the lowest formation enthalpy at 0 K?
  Cu3Ag5P4O16



- What is the formula in the first record?
  SiO2